A relaxed structure of LiCuP3O9, computed with PBE-GGA.

Geometry as POSCAR:
```
LiCuP3O9
1.0
-0.244 -2.333 4.874
10.610 0.599 0.819
-0.963 10.344 4.903
Li Cu P O
4 4 12 36
Direct
0.089 0.119 0.076
0.589 0.381 0.924
0.911 0.619 0.424
0.411 0.881 0.576
0.591 0.031 0.860
0.091 0.469 0.140
0.409 0.531 0.640
0.909 0.969 0.360
0.874 0.075 0.622
0.372 0.149 0.366
0.068 0.195 0.821
0.568 0.305 0.179
0.872 0.351 0.634
0.374 0.425 0.378
0.126 0.575 0.878
0.628 0.649 0.134
0.932 0.695 0.679
0.432 0.805 0.321
0.128 0.851 0.866
0.626 0.925 0.122
0.519 0.011 0.032
0.638 0.037 0.684
0.508 0.059 0.441
0.088 0.090 0.719
0.117 0.116 0.321
0.824 0.179 0.885
0.303 0.196 0.888
0.548 0.179 0.255
0.858 0.215 0.570
0.358 0.285 0.430
0.048 0.321 0.745
0.803 0.304 0.112
0.324 0.321 0.115
0.617 0.384 0.679
0.588 0.410 0.281
0.008 0.441 0.559
0.138 0.463 0.316
0.019 0.489 0.968
0.481 0.511 0.468
0.362 0.537 0.816
0.492 0.559 0.059
0.912 0.590 0.781
0.883 0.616 0.179
0.176 0.679 0.615
0.697 0.696 0.612
0.452 0.679 0.245
0.142 0.715 0.930
0.642 0.785 0.070
0.952 0.821 0.755
0.197 0.804 0.388
0.676 0.821 0.385
0.383 0.884 0.821
0.412 0.910 0.219
0.992 0.941 0.941
0.862 0.963 0.184
0.981 0.989 0.532
```

## Properties
VASP energy (eV/atom): -6.66
Energy relative to the elements (eV/atom): -2.335
Distance to the lowest polymorph of the same formula (meV per atom): 68
E (MP2020) (eV for the cell shown): -397.900